Computed, not measured: an optimized crystal structure of Mg30MnCO32 at the PBE with a Hubbard U level of DFT.

a b c (Å): 8.5265 8.5265 8.5366
angles (deg): 90.00 90.00 90.00
Fractional coordinates of all 64 atoms:
Mg 0.0000 0.0000 0.0000
Mg 0.0000 0.2484 0.2516
Mg 0.0000 0.2484 0.7484
Mg 0.0000 0.5000 0.0000
Mg 0.0000 0.5000 0.5000
Mg 0.0000 0.7516 0.2516
Mg 0.0000 0.7516 0.7484
Mg 0.2484 0.0000 0.2516
Mg 0.2484 0.0000 0.7484
Mg 0.2480 0.2480 0.5000
Mg 0.2480 0.7520 0.5000
Mg 0.2499 0.2499 0.0000
Mg 0.2503 0.5000 0.2501
Mg 0.2503 0.5000 0.7499
Mg 0.2499 0.7501 0.0000
Mg 0.5000 0.0000 0.0000
Mg 0.5000 0.0000 0.5000
Mg 0.5000 0.2503 0.2501
Mg 0.5000 0.2503 0.7499
Mg 0.5000 0.5000 0.0000
Mg 0.5000 0.7497 0.2501
Mg 0.5000 0.7497 0.7499
Mg 0.7501 0.2499 0.0000
Mg 0.7497 0.5000 0.2501
Mg 0.7497 0.5000 0.7499
Mg 0.7501 0.7501 0.0000
Mg 0.7516 0.0000 0.2516
Mg 0.7516 0.0000 0.7484
Mg 0.7520 0.2480 0.5000
Mg 0.7520 0.7520 0.5000
Mn 0.5000 0.5000 0.5000
C 0.0000 0.0000 0.5000
O 0.0000 0.0000 0.2485
O 0.0000 0.0000 0.7515
O 0.0000 0.2493 0.0000
O 0.0000 0.2516 0.5000
O 0.0000 0.5000 0.2507
O 0.0000 0.5000 0.7493
O 0.0000 0.7484 0.5000
O 0.0000 0.7507 0.0000
O 0.2461 0.5000 0.5000
O 0.2493 0.0000 0.0000
O 0.2494 0.5000 0.0000
O 0.2498 0.2498 0.2507
O 0.2498 0.2498 0.7493
O 0.2498 0.7502 0.2507
O 0.2498 0.7502 0.7493
O 0.2516 0.0000 0.5000
O 0.5000 0.0000 0.2507
O 0.5000 0.0000 0.7493
O 0.5000 0.2461 0.5000
O 0.5000 0.2494 0.0000
O 0.5000 0.5000 0.2436
O 0.5000 0.5000 0.7564
O 0.5000 0.7506 0.0000
O 0.5000 0.7539 0.5000
O 0.7484 0.0000 0.5000
O 0.7502 0.2498 0.2507
O 0.7502 0.2498 0.7493
O 0.7502 0.7502 0.2507
O 0.7502 0.7502 0.7493
O 0.7507 0.0000 0.0000
O 0.7506 0.5000 0.0000
O 0.7539 0.5000 0.5000

Values from the calculation:
* ΔE_f: -17617 kJ/mol of formula units
* MP2020-corrected energy: -6.3644 eV per atom
* spin magnetization: 5.00 μB/f.u.